1.
Density functional theory data (PBE) for TiTl4S4 after structural relaxation.

Computed properties:
total energy: -4.49 eV per atom

abc: 8.4529 8.5616 15.8434
angles: 74.33 90.00 90.00
Element x y z (fractional)
S 0.6688 0.9575 0.2114
S 0.8312 0.9575 0.7114
S 0.9448 0.3826 0.7040
S 0.8253 0.2990 0.0369
S 0.5552 0.3826 0.2040
S 0.1062 0.1841 0.5403
S 0.3253 0.7010 0.4631
S 0.1747 0.7010 0.9631
S 0.3312 0.0425 0.7886
S 0.3938 0.1841 0.0403
S 0.1688 0.0425 0.2886
S 0.6747 0.2990 0.5369
S 0.6062 0.8159 0.9597
S 0.4448 0.6174 0.7960
S 0.8938 0.8159 0.4597
S 0.0552 0.6174 0.2960
Tl 0.5989 0.1775 0.8770
Tl 0.4918 0.0263 0.3668
Tl 0.0082 0.0263 0.8668
Tl 0.5082 0.9737 0.6332
Tl 0.8166 0.5870 0.1083
Tl 0.9011 0.1775 0.3770
Tl 0.6834 0.5870 0.6083
Tl 0.0989 0.8225 0.6230
Tl 0.3166 0.4130 0.3917
Tl 0.9918 0.9737 0.1332
Tl 0.1834 0.4130 0.8917
Tl 0.2770 0.3850 0.6413
Tl 0.7770 0.6150 0.8587
Tl 0.4011 0.8225 0.1230
Tl 0.7230 0.6150 0.3587
Tl 0.2230 0.3850 0.1413
Ti 0.8884 0.2091 0.6221
Ti 0.1116 0.7909 0.3779
Ti 0.3884 0.7909 0.8779
Ti 0.6116 0.2091 0.1221



2.
Density functional theory data (PBE) for MgSi2 after structural relaxation.

Computed properties:
total energy: -3.99 eV per atom
total magnetization: 0.0 μB per formula unit

abc: 4.5965 4.5965 2.7043
angles: 90.00 90.00 122.34
Element x y z (fractional)
Si 0.8358 0.1642 0.5000
Si 0.1642 0.8358 0.5000
Mg 0.5000 0.5000 0.0000



3.
Density functional theory data (PBE) for Ti2AgBiO6 after structural relaxation.

Computed properties:
total energy: -7.27 eV per atom
total magnetization: 0.0 μB per formula unit

abc: 5.5380 5.5380 5.5380
angles: 120.79 120.79 88.63
Element x y z (fractional)
O 0.5000 0.0000 0.5000
O 0.0444 0.0444 0.6117
O 0.0000 0.5000 0.5000
O 0.5673 0.9556 0.0000
O 0.9556 0.5673 0.0000
O 0.4327 0.4327 0.3883
Ag 0.5000 0.5000 0.0000
Ti 0.2500 0.7500 0.5000
Ti 0.7500 0.2500 0.5000
Bi 0.0000 0.0000 0.0000



4.
Density functional theory data (PBE) for ErMnAl after structural relaxation.

Computed properties:
total energy: -6.08 eV per atom
total magnetization: 2.6 μB per formula unit

abc: 5.4099 5.4099 5.4099
angles: 119.56 118.97 91.28
Element x y z (fractional)
Er 0.1303 0.8803 0.2500
Er 0.8697 0.1197 0.7500
Al 0.0000 0.5000 0.5000
Al 0.5000 0.5000 0.0000
Mn 0.5000 0.5000 0.5000
Mn 0.5000 0.0000 0.0000



5.
Density functional theory data (PBE) for Tb3Te3N after structural relaxation.

Computed properties:
total energy: -6.03 eV per atom

abc: 12.0680 8.1700 8.7010
angles: 70.93 90.00 90.00
Element x y z (fractional)
Te 0.4782 0.2242 0.0836
Te 0.5218 0.7758 0.9164
Te 0.6884 0.0451 0.5145
Te 0.2343 0.5077 0.8158
Te 0.2657 0.5077 0.3158
Te 0.9782 0.7758 0.4164
Te 0.7657 0.4923 0.1842
Te 0.8116 0.0451 0.0145
Te 0.0218 0.2242 0.5836
Te 0.7343 0.4923 0.6842
Te 0.3116 0.9549 0.4855
Te 0.1884 0.9549 0.9855
Tb 0.7918 0.7674 0.8410
Tb 0.2918 0.2326 0.6590
Tb 0.4778 0.6031 0.6381
Tb 0.2082 0.2326 0.1590
Tb 0.5222 0.3969 0.3619
Tb 0.9105 0.1605 0.2954
Tb 0.7082 0.7674 0.3409
Tb 0.0222 0.6031 0.1381
Tb 0.4105 0.8395 0.2046
Tb 0.5895 0.1605 0.7954
Tb 0.9778 0.3969 0.8619
Tb 0.0895 0.8395 0.7046
N 0.5341 0.6721 0.3759
N 0.0341 0.3279 0.1241
N 0.4659 0.3279 0.6241
N 0.9659 0.6721 0.8759



6.
Density functional theory data (PBE) for Al2O3 after structural relaxation.

Computed properties:
total energy: -7.26 eV per atom
total magnetization: 0.0 μB per formula unit

abc: 10.7017 10.2102 10.2651
angles: 94.12 87.63 99.61
Element x y z (fractional)
Al 0.7154 0.4997 0.5157
Al 0.0621 0.7798 0.7497
Al 0.3162 0.8621 0.1221
Al 0.1854 0.9470 0.5139
Al 0.5758 0.8652 0.0311
Al 0.9857 0.4234 0.5062
Al 0.9484 0.0098 0.6543
Al 0.6350 0.7269 0.7487
Al 0.7156 0.7378 0.2765
Al 0.4167 0.6008 0.9329
Al 0.8400 0.5438 0.7440
Al 0.4716 0.3055 0.3427
Al 0.5276 0.0623 0.3280
Al 0.0731 0.9703 0.9950
Al 0.7188 0.0230 0.8339
Al 0.5389 0.9693 0.6190
Al 0.4461 0.4780 0.6403
Al 0.1244 0.5825 0.0713
Al 0.2351 0.2468 0.9006
Al 0.1718 0.2555 0.6140
Al 0.8162 0.7151 0.9671
Al 0.0139 0.2543 0.0949
Al 0.8848 0.4727 0.0217
Al 0.3072 0.7323 0.6070
Al 0.8212 0.9828 0.1358
Al 0.6403 0.2864 0.7774
Al 0.8808 0.5173 0.2933
Al 0.4907 0.3253 0.0542
Al 0.1295 0.5175 0.8047
Al 0.2681 0.3828 0.2086
Al 0.4143 0.2067 0.6274
Al 0.2242 0.0882 0.2469
Al 0.9346 0.1926 0.8408
Al 0.1822 0.6528 0.3429
Al 0.7036 0.2198 0.1205
Al 0.7540 0.0317 0.4029
Al 0.5513 0.5967 0.1411
Al 0.0053 0.1119 0.3791
Al 0.3253 0.9655 0.8399
Al 0.4471 0.5657 0.3867
O 0.6758 0.8789 0.1823
O 0.0737 0.1691 0.2238
O 0.3860 0.9776 0.2519
O 0.5949 0.9588 0.4536
O 0.6557 0.0251 0.9958
O 0.9651 0.5883 0.1537
O 0.3270 0.1349 0.8271
O 0.3189 0.2990 0.0484
O 0.2863 0.5327 0.3272
O 0.1285 0.0099 0.3787
O 0.0841 0.1471 0.9611
O 0.0492 0.8871 0.6168
O 0.7812 0.6309 0.3752
O 0.4050 0.6205 0.5490
O 0.7226 0.6498 0.1210
O 0.4823 0.1801 0.4516
O 0.6408 0.8981 0.7123
O 0.0394 0.5559 0.3960
O 0.4047 0.9028 0.9671
O 0.2576 0.1021 0.5868
O 0.6757 0.7755 0.9135
O 0.9888 0.4803 0.6772
O 0.2541 0.5770 0.9412
O 0.1931 0.3607 0.7852
O 0.0630 0.2781 0.4795
O 0.1963 0.9721 0.1073
O 0.8811 0.0000 0.8147
O 0.7331 0.4043 0.6675
O 0.8013 0.3857 0.1627
O 0.3254 0.3486 0.5718
O 0.3810 0.8905 0.6779
O 0.7725 0.1894 0.7902
O 0.5461 0.4546 0.4681
O 0.5511 0.6857 0.3076
O 0.9560 0.3325 0.9536
O 0.4632 0.7200 0.0749
O 0.9071 0.7221 0.7996
O 0.2092 0.7171 0.1817
O 0.5379 0.2288 0.1908
O 0.0385 0.1658 0.7025
O 0.3055 0.2498 0.2993
O 0.8571 0.1486 0.0910
O 0.4815 0.6236 0.7715
O 0.4940 0.3524 0.7311
O 0.7869 0.5332 0.9118
O 0.6199 0.2769 0.9612
O 0.7246 0.6375 0.6410
O 0.1787 0.6708 0.7089
O 0.8747 0.0619 0.5200
O 0.9182 0.8773 0.0388
O 0.8782 0.9797 0.2978
O 0.1546 0.8963 0.8600
O 0.1258 0.4131 0.1362
O 0.2384 0.7880 0.4663
O 0.5455 0.1283 0.6894
O 0.5054 0.4923 0.9985
O 0.4692 0.4473 0.2318
O 0.6935 0.1271 0.2903
O 0.8336 0.4100 0.4333
O 0.0308 0.5776 0.9296



7.
Density functional theory data (PBE) for Tb6Ta4Al43 after structural relaxation.

Computed properties:
total energy: -4.77 eV per atom

abc: 11.1381 11.1381 17.7692
angles: 90.00 90.00 120.00
Element x y z (fractional)
Al 0.4049 0.8506 0.2500
Al 0.1589 0.0000 0.1152
Al 0.5058 0.7529 0.5000
Al 0.5543 0.4049 0.7500
Al 0.3333 0.6667 0.6265
Al 0.2372 0.3945 0.3363
Al 0.6667 0.3333 0.8735
Al 0.1573 0.3945 0.6637
Al 0.7628 0.1573 0.3363
Al 0.8427 0.2372 0.6637
Al 0.1589 0.1589 0.8848
Al 0.6056 0.7628 0.6637
Al 0.0000 0.8411 0.8848
Al 0.3333 0.6667 0.8735
Al 0.8427 0.6056 0.1637
Al 0.4457 0.8506 0.7500
Al 0.8427 0.6056 0.3363
Al 0.0000 0.7442 0.0302
Al 0.1468 0.0000 0.7500
Al 0.7529 0.2471 0.0000
Al 0.7628 0.6056 0.6637
Al 0.0000 0.2558 0.9698
Al 0.1573 0.7628 0.3363
Al 0.1494 0.5951 0.7500
Al 0.6667 0.3333 0.3735
Al 0.0000 0.2558 0.5302
Al 0.7529 0.5058 0.5000
Al 0.5543 0.1494 0.2500
Al 0.2471 0.4942 0.0000
Al 0.0000 0.1589 0.1152
Al 0.6667 0.3333 0.1265
Al 0.0000 0.1468 0.7500
Al 0.0000 0.8411 0.6152
Al 0.7529 0.2471 0.5000
Al 0.7529 0.5058 0.0000
Al 0.4942 0.2471 0.5000
Al 0.1589 0.1589 0.6152
Al 0.2471 0.7529 0.5000
Al 0.2471 0.7529 0.0000
Al 0.7442 0.0000 0.4698
Al 0.8532 0.0000 0.2500
Al 0.0000 0.7442 0.4698
Al 0.2471 0.4942 0.5000
Al 0.4457 0.5951 0.2500
Al 0.2372 0.3945 0.1637
Al 0.6056 0.8427 0.1637
Al 0.8411 0.0000 0.6152
Al 0.5951 0.4457 0.2500
Al 0.1573 0.3945 0.8363
Al 0.1573 0.7628 0.1637
Al 0.2558 0.2558 0.4698
Al 0.3945 0.2372 0.3363
Al 0.8411 0.0000 0.8848
Al 0.3945 0.1573 0.6637
Al 0.7628 0.6056 0.8363
Al 0.6056 0.8427 0.3363
Al 0.7442 0.7442 0.9698
Al 0.4942 0.2471 0.0000
Al 0.4049 0.5543 0.7500
Al 0.2558 0.0000 0.9698
Al 0.8411 0.8411 0.3848
Al 0.0000 0.8532 0.2500
Al 0.1468 0.1468 0.2500
Al 0.6056 0.7628 0.8363
Al 0.3333 0.6667 0.3735
Al 0.7628 0.1573 0.1637
Al 0.2372 0.8427 0.6637
Al 0.3945 0.2372 0.1637
Al 0.5951 0.1494 0.7500
Al 0.2372 0.8427 0.8363
Al 0.8411 0.8411 0.1152
Al 0.1494 0.5543 0.2500
Al 0.2558 0.2558 0.0302
Al 0.8427 0.2372 0.8363
Al 0.7442 0.0000 0.0302
Al 0.8532 0.8532 0.7500
Al 0.1589 0.0000 0.3848
Al 0.3333 0.6667 0.1265
Al 0.0000 0.1589 0.3848
Al 0.3945 0.1573 0.8363
Al 0.2558 0.0000 0.5302
Al 0.6667 0.3333 0.6265
Al 0.7442 0.7442 0.5302
Al 0.8506 0.4457 0.7500
Al 0.8506 0.4049 0.2500
Al 0.5058 0.7529 0.0000
Ta 0.2741 0.0000 0.2500
Ta 0.2741 0.2741 0.7500
Ta 0.0000 0.7259 0.7500
Ta 0.0000 0.2741 0.2500
Ta 0.0000 0.0000 0.0000
Ta 0.7259 0.0000 0.7500
Ta 0.7259 0.7259 0.2500
Ta 0.0000 0.0000 0.5000
Tb 0.0000 0.5294 0.5963
Tb 0.4706 0.0000 0.4037
Tb 0.5294 0.0000 0.9037
Tb 0.0000 0.4706 0.4037
Tb 0.4706 0.4706 0.5963
Tb 0.5294 0.5294 0.4037
Tb 0.5294 0.5294 0.0963
Tb 0.0000 0.4706 0.0963
Tb 0.4706 0.0000 0.0963
Tb 0.0000 0.5294 0.9037
Tb 0.5294 0.0000 0.5963
Tb 0.4706 0.4706 0.9037



8.
Density functional theory data (PBE) for ThB2O5 after structural relaxation.

Computed properties:
total energy: -8.67 eV per atom

abc: 6.7621 6.7621 10.5195
angles: 80.03 80.03 62.39
Element x y z (fractional)
O 0.9424 0.6874 0.8365
O 0.7748 0.1758 0.6287
O 0.8926 0.3978 0.4707
O 0.8242 0.2252 0.8713
O 0.7199 0.3600 0.0842
O 0.3600 0.7199 0.5842
O 0.2801 0.6400 0.9158
O 0.1758 0.7748 0.1287
O 0.3585 0.2751 0.3113
O 0.6415 0.7249 0.6887
O 0.7249 0.6415 0.1887
O 0.3978 0.8926 0.9707
O 0.3126 0.0576 0.6635
O 0.6400 0.2801 0.4158
O 0.0576 0.3126 0.1635
O 0.2751 0.3585 0.8113
O 0.6874 0.9424 0.3365
O 0.2252 0.8242 0.3713
O 0.6022 0.1074 0.0293
O 0.1074 0.6022 0.5293
Th 0.9783 0.3878 0.6920
Th 0.3878 0.9783 0.1920
Th 0.6122 0.0217 0.8080
Th 0.0217 0.6122 0.3080
B 0.8359 0.4344 0.1416
B 0.2309 0.7219 0.4966
B 0.7691 0.2781 0.5034
B 0.1641 0.5656 0.8584
B 0.2781 0.7691 0.0034
B 0.7219 0.2309 0.9966
B 0.4344 0.8359 0.6416
B 0.5656 0.1641 0.3584